[1]
VASP calculation (GGA-PBE) on a geometry-optimized LiSb3P2O10 structure.

Size of the total moment ... 0.003 μB per formula unit
Symmetry ... P1, No. 1

a = 5.2970 Å, b = 6.7065 Å, c = 6.9953 Å
α = 112.07°, β = 109.83°, γ = 85.42°
Fractional positions:
O: 0.5868 0.6836 0.2569
Li: 0.8894 0.4865 0.9984
Sb: 0.3845 0.1651 0.7656
O: 0.0444 0.5529 0.7419
O: 0.3869 0.0541 0.3163
O: 0.7194 0.2497 0.0413
P: 0.2890 0.6195 0.7085
O: 0.8756 0.0036 0.3273
P: 0.6500 0.9303 0.3808
Sb: 0.5597 0.4150 0.3374
O: 0.2205 0.2855 0.0523
O: 0.7222 0.9986 0.6349
Sb: 0.0151 0.0132 0.0348
O: 0.2442 0.5747 0.4612
O: 0.5360 0.4892 0.7869
O: 0.3605 0.8680 0.8433

=====

[2]
VASP calculation (GGA-PBE) on a geometry-optimized LiSbP5O15 structure.

Size of the total moment ... 0.998 μB per formula unit
Symmetry ... P2_1/c, No. 14

a = 14.0654 Å, b = 9.6723 Å, c = 10.8313 Å
α = 67.18°, β = 90.00°, γ = 90.00°
Fractional positions:
P: 0.5926 0.8254 0.5168
O: 0.0183 0.2650 0.8777
P: 0.9074 0.8254 0.0168
O: 0.3467 0.3013 0.5200
O: 0.2557 0.9330 0.6241
O: 0.1703 0.1197 0.9065
P: 0.7417 0.0034 0.0229
O: 0.0824 0.5609 0.8881
O: 0.6275 0.5168 0.3640
O: 0.5566 0.9389 0.3903
O: 0.8720 0.5022 0.3595
Li: 0.8557 0.0724 0.7502
Sb: 0.5007 0.5033 0.7476
P: 0.7583 0.0034 0.5229
O: 0.2730 0.9048 0.8966
O: 0.8297 0.8803 0.0935
O: 0.6371 0.6927 0.9647
O: 0.4891 0.2809 0.8748
O: 0.0773 0.5725 0.3932
O: 0.3720 0.4978 0.1405
Sb: 0.4993 0.4967 0.2524
P: 0.8525 0.5306 0.9962
O: 0.6533 0.6987 0.4800
O: 0.7557 0.0670 0.8759
P: 0.1413 0.4781 0.5088
O: 0.0566 0.0611 0.1097
P: 0.9257 0.8149 0.5049
O: 0.7270 0.0952 0.1034
P: 0.5743 0.8149 0.0049
O: 0.6703 0.8803 0.5935
O: 0.5183 0.7350 0.6223
O: 0.5773 0.4275 0.1068
O: 0.5824 0.4391 0.6119
O: 0.4769 0.0819 0.1127
O: 0.4817 0.2650 0.3777
O: 0.4176 0.5609 0.3881
O: 0.3725 0.4832 0.6360
O: 0.3297 0.1197 0.4065
Li: 0.6443 0.0724 0.2502
O: 0.4227 0.5725 0.8932
O: 0.3629 0.3073 0.0353
P: 0.0926 0.1746 0.9832
O: 0.8629 0.6927 0.4647
P: 0.3525 0.4694 0.5038
O: 0.9891 0.7191 0.6252
P: 0.4257 0.1851 0.9951
Li: 0.3557 0.9276 0.7498
P: 0.6475 0.5306 0.4962
O: 0.9769 0.9181 0.3873
O: 0.7528 0.4706 0.5417
O: 0.7730 0.0952 0.6034
O: 0.6280 0.5022 0.8595
O: 0.3449 0.1228 0.9307
P: 0.8587 0.5219 0.4912
O: 0.5231 0.9181 0.8873
O: 0.2270 0.9048 0.3966
Sb: 0.0007 0.4967 0.7524
O: 0.9817 0.7350 0.1223
O: 0.1533 0.3013 0.0200
P: 0.2417 0.9966 0.4771
O: 0.9227 0.4275 0.6068
O: 0.1371 0.3073 0.5353
P: 0.0743 0.1851 0.4951
O: 0.9176 0.4391 0.1119
O: 0.1551 0.1228 0.4307
P: 0.4074 0.1746 0.4832
O: 0.2472 0.5294 0.4583
O: 0.8725 0.5168 0.8640
O: 0.8467 0.6987 0.9800
P: 0.1475 0.4694 0.0038
O: 0.8449 0.8772 0.5693
O: 0.7472 0.4706 0.0417
O: 0.5109 0.7191 0.1252
O: 0.2443 0.9330 0.1241
O: 0.1280 0.4978 0.6405
Li: 0.1443 0.9276 0.2498
O: 0.7443 0.0670 0.3759
Sb: 0.9993 0.5033 0.2476
P: 0.2583 0.9966 0.9771
O: 0.9434 0.9389 0.8903
O: 0.1275 0.4832 0.1360
O: 0.2528 0.5294 0.9583
O: 0.6551 0.8772 0.0693
O: 0.0109 0.2809 0.3748
O: 0.0231 0.0819 0.6127
P: 0.3587 0.4781 0.0088
P: 0.6413 0.5219 0.9912
O: 0.4434 0.0611 0.6097

=====

[3]
VASP calculation (GGA-PBE) on a geometry-optimized LiSb2P5O16 structure.

Size of the total moment ... 0.000 μB per formula unit
Symmetry ... Pc, No. 7

a = 10.5938 Å, b = 7.3922 Å, c = 10.0951 Å
α = 72.82°, β = 90.00°, γ = 90.00°
Fractional positions:
O: 0.5235 0.6886 0.0397
P: 0.7130 0.4590 0.3578
Sb: 0.3670 0.0692 0.1437
O: 0.7780 0.4931 0.4931
O: 0.9411 0.7694 0.8070
P: 0.4007 0.8882 0.4821
O: 0.4128 0.9831 0.5957
Li: 0.6532 0.1012 0.2432
O: 0.0040 0.7953 0.0572
O: 0.7075 0.2484 0.3740
O: 0.8698 0.5155 0.7127
O: 0.7858 0.2046 0.7082
Sb: 0.8625 0.6270 0.0034
O: 0.7707 0.5925 0.2312
O: 0.9960 0.7953 0.5572
O: 0.0083 0.3345 0.0749
O: 0.0589 0.7694 0.3070
O: 0.2220 0.4931 0.9931
O: 0.9917 0.3345 0.5749
O: 0.5190 0.3379 0.6189
O: 0.3406 0.4725 0.4423
O: 0.2293 0.5925 0.7312
O: 0.2640 0.8567 0.4447
O: 0.5713 0.5352 0.3707
Sb: 0.6330 0.0692 0.6437
P: 0.2870 0.4590 0.8578
O: 0.7670 0.8385 0.6213
O: 0.2142 0.2046 0.2082
O: 0.4287 0.5352 0.8707
P: 0.1368 0.3727 0.1219
P: 0.8632 0.3727 0.6219
Li: 0.3468 0.1012 0.7432
O: 0.1302 0.5155 0.2127
O: 0.2330 0.8385 0.1213
O: 0.5872 0.9831 0.0957
P: 0.5993 0.8882 0.9821
O: 0.7360 0.8567 0.9447
Sb: 0.1375 0.6270 0.5034
O: 0.6594 0.4725 0.9423
O: 0.5311 0.9964 0.8439
P: 0.1067 0.7451 0.1698
P: 0.8933 0.7451 0.6698
O: 0.4810 0.3379 0.1189
O: 0.2925 0.2484 0.8740
P: 0.5307 0.4951 0.9948
O: 0.4689 0.9964 0.3439
O: 0.4765 0.6886 0.5397
P: 0.4693 0.4951 0.4948

=====

[4]
VASP calculation (GGA-PBE) on a geometry-optimized Li3Sb2P3O12 structure.

Size of the total moment ... 0.000 μB per formula unit
Energy relative to the lowest polymorph listed for this composition ... 31.1 meV per atom
Symmetry ... C2, No. 5

a = 8.5073 Å, b = 8.5073 Å, c = 8.5418 Å
α = 67.21°, β = 67.21°, γ = 66.96°
Fractional positions:
O: 0.5608 0.3150 0.8236
Sb: 0.1456 0.6589 0.9048
O: 0.8205 0.5682 0.3104
Sb: 0.8395 0.3414 0.5946
Li: 0.6330 0.3670 0.0000
Sb: 0.3411 0.8544 0.0952
P: 0.2529 0.4232 0.3437
Li: 0.9983 0.4918 0.7645
O: 0.3965 0.0946 0.0206
O: 0.8890 0.2684 0.8471
O: 0.2012 0.4746 0.1762
O: 0.0609 0.0680 0.5703
O: 0.3185 0.5599 0.3546
O: 0.5943 0.7699 0.1509
O: 0.2661 0.9003 0.3520
O: 0.2301 0.4057 0.8491
Sb: 0.6586 0.1605 0.4054
P: 0.4077 0.2493 0.8417
O: 0.4401 0.6815 0.6454
O: 0.4011 0.2347 0.3590
P: 0.9162 0.0838 0.0000
O: 0.4318 0.1795 0.6896
O: 0.9320 0.9391 0.4297
Li: 0.5082 0.0017 0.2355
P: 0.7507 0.5923 0.1583
P: 0.5768 0.7471 0.6563
P: 0.0826 0.9174 0.5000
Li: 0.8654 0.7470 0.3897
O: 0.9328 0.9289 0.9424
O: 0.0937 0.3904 0.5196
O: 0.9054 0.6035 0.9794
O: 0.6096 0.9063 0.4804
Li: 0.3588 0.6412 0.5000
O: 0.5254 0.7988 0.8238
Li: 0.2530 0.1346 0.6103
O: 0.0997 0.7339 0.6480
O: 0.7653 0.5989 0.6410
O: 0.6850 0.4392 0.1764
O: 0.7316 0.1110 0.1529
O: 0.0711 0.0672 0.0576

=====

Number 1: E (MP2020) -6.89 eV per atom, formation energy -2.231 eV per atom. Number 2: E (MP2020) -7.31 eV per atom, formation energy -2.427 eV per atom. Number 3: E (MP2020) -7.28 eV per atom, formation energy -2.431 eV per atom. Number 4: E (MP2020) -6.91 eV per atom, formation energy -2.433 eV per atom.